Entry from the Materials Project: a geometry-optimized AlWC2 structure (PBE).

The structure in extended XYZ format:
```
4
Lattice="2.796 0.000 0.000 0.000 2.995 0.000 0.000 0.000 5.056" Properties=species:S:1:pos:R:3 pbc="T T T"
Al 0.000 0.000 0.000
W 0.000 1.498 2.646
C 1.398 0.000 1.899
C 1.398 1.498 4.269
```

Output
Energy of formation from the pure elements, meV per atom: 470
DFT total energy, eV per cell: -33.28